Crystalline MgMnV4CuO12 at its relaxed geometry, computed with PBE+U.

Results
Polymorph energy (0 for the lowest one): 0.00 kJ per mole of atoms
Energy: -136.374 eV for the cell shown
ΔE_f: -2.2376 eV per atom

The structure in POSCAR format:
```
MgMnV4CuO12
1.0
5.9097 0.0000 0.0000
1.8406 6.5147 0.0000
2.0245 0.6502 6.6965
Mg Mn V Cu O
1 1 4 1 12
direct
0.0000 0.0000 0.0000
0.9687 0.6445 0.3669
0.4336 0.9347 0.6566
0.4785 0.3315 0.0924
0.9312 0.1192 0.4776
0.9798 0.5288 0.8996
0.4868 0.8003 0.1833
0.0251 0.9523 0.2925
0.1121 0.0544 0.6614
0.2873 0.3715 0.9295
0.3679 0.5336 0.2424
0.3755 0.8509 0.9075
0.4730 0.0950 0.2227
0.5592 0.7476 0.5011
0.6293 0.1107 0.6138
0.8074 0.3049 0.9759
0.8814 0.7316 0.0683
0.9258 0.3553 0.3632
0.9752 0.6231 0.6608
```